UH2Se2O9 | PBE-GGA | relaxed

Cell: 8.4177 8.4177 5.9503 Å, 92.00 92.00 100.79°
Last column: nearest neighbours and their distance in Å.
Sites, in units of the cell vectors:
U (0.1931, 0.8069, 0.7500)  2 O 1.80
U (0.8069, 0.1931, 0.2500)  2 O 1.80
H (0.0191, 0.1007, 0.8376)  1 O 0.99
H (0.1007, 0.0191, 0.3376)  1 O 0.99
H (0.8993, 0.9809, 0.6624)  1 O 0.99
H (0.9809, 0.8993, 0.1624)  1 O 0.99
Se (0.2333, 0.3970, 0.0492)  3 O 1.69-1.70
Se (0.3970, 0.2333, 0.5492)  3 O 1.69-1.70
Se (0.6030, 0.7667, 0.4508)  3 O 1.69-1.70
Se (0.7667, 0.6030, 0.9508)  3 O 1.69-1.70
O (0.0040, 0.9960, 0.7500)  2 H 0.99
O (0.0437, 0.2844, 0.0157)  1 Se 1.70, 1 H 1.82
O (0.0854, 0.7094, 0.5007)  1 U 1.80
O (0.2279, 0.5661, 0.9057)  1 Se 1.69
O (0.2844, 0.0437, 0.5157)  1 Se 1.70, 1 H 1.82
O (0.2906, 0.9146, 0.9993)  1 U 1.80
O (0.3021, 0.3704, 0.4254)  1 Se 1.70
O (0.3704, 0.3021, 0.9254)  1 Se 1.70
O (0.4339, 0.7721, 0.5943)  1 Se 1.69
O (0.5661, 0.2279, 0.4057)  1 Se 1.69
O (0.6296, 0.6979, 0.0746)  1 Se 1.70
O (0.6979, 0.6296, 0.5746)  1 Se 1.70
O (0.7094, 0.0854, 0.0007)  1 U 1.80
O (0.7156, 0.9563, 0.4843)  1 Se 1.70, 1 H 1.82
O (0.7721, 0.4339, 0.0943)  1 Se 1.69
O (0.9146, 0.2906, 0.4993)  1 U 1.80
O (0.9563, 0.7156, 0.9843)  1 Se 1.70, 1 H 1.82
O (0.9960, 0.0040, 0.2500)  2 H 0.99

Results
SG   C2/c (15)
Energy of formation   -1.73 eV/atom